[1]
## RbPrTe4 (r²SCAN)

Data for an optimized crystal structure of RbPrTe4.

Results
Size of the total moment ... 0.0000 μB/atom
V ... 453.3 Å³/cell
Space-group type ... P4/nbm
Raw total energy ... -25.314 eV per atom
ρ ... 5.4 g/cm3
Energy of formation from the pure elements ... -1.1469 eV/atom

a = 7.006 Å, b = 7.006 Å, c = 9.235 Å
α = 90.00°, β = 90.00°, γ = 90.00°
Atoms (fractional coordinates):
Rb1 0.250 0.250 0.000
Rb2 0.750 0.750 0.000
Pr1 0.250 0.250 0.500
Pr2 0.750 0.750 0.500
Te1 0.109 0.609 0.293
Te2 0.109 0.891 0.707
Te3 0.391 0.609 0.707
Te4 0.391 0.891 0.293
Te5 0.609 0.109 0.707
Te6 0.609 0.391 0.293
Te7 0.891 0.109 0.293
Te8 0.891 0.391 0.707

[2]
## Li2HgO2 (r²SCAN)

Data for an optimized crystal structure of Li2HgO2.

Results
Size of the total moment ... 0.0000 μB/atom
V ... 57.7 Å³/cell
Space-group type ... I4/mmm
Raw total energy ... -14.583 eV per atom
ρ ... 7.1 g/cm3
Energy of formation from the pure elements ... -1.3661 eV/atom

a = 6.657 Å, b = 6.657 Å, c = 6.657 Å
α = 153.74°, β = 153.74°, γ = 37.48°
Atoms (fractional coordinates):
Li1 0.189 0.189 0.000
Li2 0.811 0.811 0.000
Hg1 0.500 0.500 0.000
O1 0.341 0.341 0.000
O2 0.659 0.659 0.000

[3]
## Rb2AgBr3 (r²SCAN)

Data for an optimized crystal structure of Rb2AgBr3.

Results
Size of the total moment ... 0.0000 μB/atom
V ... 846.5 Å³/cell
Space-group type ... Pnma
Raw total energy ... -16.324 eV per atom
ρ ... 4.1 g/cm3
Energy of formation from the pure elements ... -1.4920 eV/atom

a = 9.649 Å, b = 4.677 Å, c = 18.757 Å
α = 90.00°, β = 90.00°, γ = 90.00°
Atoms (fractional coordinates):
Rb1 0.079 0.250 0.213
Rb2 0.247 0.250 0.958
Rb3 0.253 0.750 0.458
Rb4 0.421 0.750 0.713
Rb5 0.579 0.250 0.287
Rb6 0.747 0.250 0.542
Rb7 0.753 0.750 0.042
Rb8 0.921 0.750 0.787
Ag1 0.128 0.250 0.634
Ag2 0.372 0.750 0.134
Ag3 0.628 0.250 0.866
Ag4 0.872 0.750 0.366
Br1 0.002 0.250 0.401
Br2 0.120 0.750 0.072
Br3 0.185 0.250 0.776
Br4 0.315 0.750 0.276
Br5 0.380 0.250 0.572
Br6 0.498 0.750 0.901
Br7 0.502 0.250 0.099
Br8 0.620 0.750 0.428
Br9 0.685 0.250 0.724
Br10 0.815 0.750 0.224
Br11 0.880 0.250 0.928
Br12 0.998 0.750 0.599

[4]
## ErPaTc2 (r²SCAN)

Data for an optimized crystal structure of ErPaTc2.

Results
Size of the total moment ... 0.0000 μB/atom
V ... 78.5 Å³/cell
Space-group type ... Fm-3m
Raw total energy ... -40.896 eV per atom
ρ ... 12.6 g/cm3
Energy of formation from the pure elements ... -0.2181 eV/atom

a = 4.805 Å, b = 4.805 Å, c = 4.805 Å
α = 60.00°, β = 60.00°, γ = 60.00°
Atoms (fractional coordinates):
Er1 0.000 0.000 0.000
Pa1 0.500 0.500 0.500
Tc1 0.250 0.250 0.250
Tc2 0.750 0.750 0.750

[5]
## EuAgSb (r²SCAN)

Data for an optimized crystal structure of EuAgSb.

Results
Size of the total moment ... 2.3351 μB/atom
V ... 162.9 Å³/cell
Space-group type ... P6_3/mmc
Raw total energy ... -29.388 eV per atom
ρ ... 7.8 g/cm3
Energy of formation from the pure elements ... -0.8603 eV/atom

a = 4.760 Å, b = 4.760 Å, c = 8.301 Å
α = 90.00°, β = 90.00°, γ = 120.00°
Atoms (fractional coordinates):
Eu1 0.000 0.000 0.000
Eu2 0.000 0.000 0.500
Ag1 0.333 0.667 0.250
Ag2 0.667 0.333 0.750
Sb1 0.333 0.667 0.750
Sb2 0.667 0.333 0.250

[6]
## Sr3MgIrO6 (r²SCAN)

Data for an optimized crystal structure of Sr3MgIrO6.

Results
Size of the total moment ... 0.0908 μB/atom
V ... 299.1 Å³/cell
Space-group type ... R-3c
Raw total energy ... -15.019 eV per atom
ρ ... 6.4 g/cm3
Energy of formation from the pure elements ... -2.4917 eV/atom

a = 6.693 Å, b = 6.693 Å, c = 6.693 Å
α = 92.38°, β = 92.38°, γ = 92.38°
Atoms (fractional coordinates):
Sr1 0.115 0.750 0.385
Sr2 0.250 0.615 0.885
Sr3 0.385 0.115 0.750
Sr4 0.615 0.885 0.250
Sr5 0.750 0.385 0.115
Sr6 0.885 0.250 0.615
Mg1 0.250 0.250 0.250
Mg2 0.750 0.750 0.750
Ir1 0.000 0.000 0.000
Ir2 0.500 0.500 0.500
O1 0.036 0.904 0.712
O2 0.096 0.288 0.964
O3 0.212 0.404 0.536
O4 0.288 0.964 0.096
O5 0.404 0.536 0.212
O6 0.464 0.788 0.596
O7 0.536 0.212 0.404
O8 0.596 0.464 0.788
O9 0.712 0.036 0.904
O10 0.788 0.596 0.464
O11 0.904 0.712 0.036
O12 0.964 0.096 0.288

Question: What is the V in the third record?
Answer: 846.5 Å³/cell

Please write out number 5 again, unchanged.
## EuAgSb (r²SCAN)

Data for an optimized crystal structure of EuAgSb.

Results
Size of the total moment ... 2.3351 μB/atom
V ... 162.9 Å³/cell
Space-group type ... P6_3/mmc
Raw total energy ... -29.388 eV per atom
ρ ... 7.8 g/cm3
Energy of formation from the pure elements ... -0.8603 eV/atom

a = 4.760 Å, b = 4.760 Å, c = 8.301 Å
α = 90.00°, β = 90.00°, γ = 120.00°
Atoms (fractional coordinates):
Eu1 0.000 0.000 0.000
Eu2 0.000 0.000 0.500
Ag1 0.333 0.667 0.250
Ag2 0.667 0.333 0.750
Sb1 0.333 0.667 0.750
Sb2 0.667 0.333 0.250

Question: Among the records above, which one has the highest size of the total moment?
Answer: EuAgSb

Question: Among the records above, which one has the lowest raw total energy?
Answer: ErPaTc2